Entry 1:
Density functional theory data (PBE) for a relaxed structure of Na10Y7TaSi6S6O48.

a = 9.349 Å, b = 16.158 Å, c = 23.510 Å
α = 90.14°, β = 90.14°, γ = 90.10°
Space group P1 (No. 1)
Symmetry-distinct sites (fractional):
Na: 0.000 0.000 0.000
Na: 0.000 0.667 0.348
Na: 0.008 0.322 0.676
Na: 0.044 0.986 0.346
Na: 0.053 0.673 0.007
Na: 0.058 0.308 0.991
Na: 0.178 0.185 0.506
Na: 0.203 0.166 0.832
Na: 0.315 0.325 0.429
Na: 0.333 0.010 0.758
Na: 0.347 0.351 0.917
Na: 0.358 0.645 0.092
Na: 0.358 0.995 0.257
Na: 0.367 0.667 0.597
Na: 0.488 0.502 0.010
Na: 0.504 0.160 0.341
Na: 0.504 0.824 0.664
Na: 0.535 0.809 0.009
Na: 0.541 0.169 0.010
Na: 0.543 0.829 0.342
Na: 0.674 0.639 0.177
Na: 0.675 0.685 0.509
Na: 0.692 0.304 0.517
Na: 0.712 0.001 0.503
Na: 0.818 0.488 0.260
Na: 0.822 0.509 0.761
Na: 0.860 0.831 0.420
Na: 0.873 0.151 0.089
Na: 0.874 0.168 0.598
Na: 0.874 0.844 0.924
Y: 0.353 0.322 0.575
Y: 0.358 0.335 0.076
Y: 0.361 0.333 0.274
Y: 0.363 0.330 0.780
Y: 0.364 0.996 0.108
Y: 0.366 0.669 0.442
Y: 0.367 0.002 0.612
Y: 0.370 0.655 0.942
Y: 0.372 0.661 0.243
Y: 0.383 0.653 0.746
Y: 0.859 0.494 0.111
Y: 0.859 0.827 0.577
Y: 0.862 0.498 0.613
Y: 0.864 0.830 0.279
Y: 0.865 0.490 0.408
Y: 0.865 0.831 0.068
Y: 0.866 0.826 0.779
Y: 0.871 0.155 0.246
Y: 0.873 0.154 0.937
Y: 0.873 0.166 0.441
Y: 0.879 0.160 0.748
Ta: 0.356 0.996 0.913
Ta: 0.377 0.994 0.407
Ta: 0.872 0.497 0.906
Si: 0.010 0.344 0.514
Si: 0.013 0.317 0.845
Si: 0.029 0.005 0.849
Si: 0.154 0.494 0.010
Si: 0.173 0.160 0.349
Si: 0.208 0.175 0.679
Si: 0.215 0.144 0.010
Si: 0.218 0.813 0.344
Si: 0.220 0.848 0.009
Si: 0.513 0.144 0.506
Si: 0.513 0.848 0.513
Si: 0.514 0.483 0.173
Si: 0.525 0.506 0.850
Si: 0.654 0.999 0.007
Si: 0.673 0.659 0.342
Si: 0.708 0.678 0.674
Si: 0.714 0.014 0.348
Si: 0.721 0.640 0.009
S: 0.014 0.645 0.508
S: 0.014 0.681 0.176
S: 0.015 0.980 0.176
S: 0.059 0.324 0.175
S: 0.060 0.658 0.846
S: 0.074 0.993 0.505
S: 0.166 0.826 0.677
S: 0.215 0.513 0.345
S: 0.217 0.479 0.676
S: 0.509 0.819 0.845
S: 0.519 0.178 0.177
S: 0.557 0.154 0.846
S: 0.564 0.830 0.176
S: 0.566 0.496 0.509
S: 0.666 0.326 0.674
S: 0.714 0.311 0.341
S: 0.717 0.978 0.677
S: 0.719 0.351 0.005
O: 0.001 0.075 0.799
O: 0.029 0.175 0.678
O: 0.040 0.487 0.954
O: 0.043 0.162 0.004
O: 0.045 0.852 0.010
O: 0.049 0.835 0.335
O: 0.056 0.508 0.348
O: 0.057 0.480 0.673
O: 0.057 0.505 0.066
O: 0.059 0.137 0.298
O: 0.075 0.834 0.728
O: 0.076 0.824 0.625
O: 0.092 0.176 0.409
O: 0.141 0.667 0.900
O: 0.145 0.317 0.122
O: 0.154 0.649 0.796
O: 0.155 0.327 0.226
O: 0.163 0.988 0.453
O: 0.166 0.998 0.556
O: 0.170 0.672 0.179
O: 0.171 0.652 0.508
O: 0.173 0.989 0.178
O: 0.185 0.334 0.512
O: 0.188 0.322 0.841
O: 0.211 0.004 0.851
O: 0.224 0.747 0.396
O: 0.234 0.082 0.063
O: 0.247 0.229 0.621
O: 0.247 0.565 0.294
O: 0.251 0.409 0.008
O: 0.253 0.429 0.727
O: 0.253 0.749 0.680
O: 0.256 0.577 0.005
O: 0.265 0.223 0.736
O: 0.265 0.913 0.954
O: 0.266 0.898 0.675
O: 0.267 0.070 0.355
O: 0.271 0.565 0.681
O: 0.273 0.551 0.397
O: 0.274 0.428 0.339
O: 0.276 0.082 0.678
O: 0.277 0.440 0.624
O: 0.279 0.755 0.999
O: 0.283 0.090 0.953
O: 0.289 0.234 0.337
O: 0.294 0.904 0.360
O: 0.298 0.886 0.064
O: 0.307 0.778 0.289
O: 0.309 0.230 0.012
O: 0.439 0.236 0.507
O: 0.441 0.090 0.451
O: 0.441 0.903 0.851
O: 0.444 0.577 0.174
O: 0.447 0.779 0.793
O: 0.451 0.094 0.178
O: 0.456 0.753 0.506
O: 0.458 0.225 0.840
O: 0.458 0.543 0.908
O: 0.460 0.426 0.226
O: 0.460 0.887 0.573
O: 0.460 0.912 0.459
O: 0.463 0.077 0.850
O: 0.468 0.412 0.841
O: 0.468 0.439 0.112
O: 0.469 0.223 0.229
O: 0.469 0.568 0.506
O: 0.471 0.904 0.176
O: 0.476 0.223 0.124
O: 0.478 0.770 0.896
O: 0.479 0.085 0.560
O: 0.479 0.752 0.175
O: 0.486 0.417 0.515
O: 0.494 0.567 0.795
O: 0.530 0.678 0.677
O: 0.535 0.001 0.356
O: 0.539 0.991 0.952
O: 0.550 0.660 0.002
O: 0.556 0.015 0.063
O: 0.556 0.315 0.336
O: 0.557 0.976 0.676
O: 0.560 0.346 0.008
O: 0.566 0.333 0.722
O: 0.571 0.671 0.399
O: 0.577 0.654 0.284
O: 0.589 0.327 0.618
O: 0.638 0.164 0.900
O: 0.652 0.145 0.797
O: 0.655 0.490 0.457
O: 0.655 0.832 0.227
O: 0.657 0.827 0.124
O: 0.661 0.510 0.559
O: 0.665 0.830 0.839
O: 0.677 0.171 0.178
O: 0.686 0.152 0.501
O: 0.690 0.495 0.179
O: 0.692 0.848 0.508
O: 0.705 0.503 0.857
O: 0.723 0.081 0.296
O: 0.738 0.588 0.068
O: 0.740 0.729 0.613
O: 0.744 0.266 0.395
O: 0.745 0.912 0.009
O: 0.754 0.250 0.678
O: 0.758 0.080 0.004
O: 0.758 0.404 0.956
O: 0.764 0.927 0.725
O: 0.767 0.399 0.676
O: 0.769 0.064 0.682
O: 0.771 0.734 0.726
O: 0.772 0.921 0.336
O: 0.773 0.745 0.341
O: 0.773 0.943 0.622
O: 0.774 0.396 0.344
O: 0.775 0.265 0.998
O: 0.777 0.585 0.675
O: 0.778 0.268 0.292
O: 0.781 0.385 0.058
O: 0.786 0.581 0.345
O: 0.787 0.048 0.406
O: 0.794 0.583 0.957
O: 0.809 0.729 0.011
O: 0.937 0.250 0.513
O: 0.940 0.599 0.174
O: 0.942 0.276 0.788
O: 0.943 0.410 0.857
O: 0.945 0.728 0.512
O: 0.946 0.064 0.175
O: 0.947 0.387 0.572
O: 0.958 0.606 0.455
O: 0.959 0.397 0.458
O: 0.959 0.724 0.227
O: 0.961 0.728 0.840
O: 0.963 0.913 0.840
O: 0.967 0.249 0.179
O: 0.967 0.936 0.124
O: 0.969 0.580 0.850
O: 0.970 0.399 0.175
O: 0.970 0.595 0.558
O: 0.970 0.936 0.228
O: 0.972 0.041 0.910
O: 0.975 0.729 0.124
O: 0.979 0.919 0.508
O: 0.981 0.261 0.902
O: 0.984 0.069 0.504

## Properties
Spin magnetization ... 0.000 Bohr magnetons per cell
Formation energy ... -2.847 eV per atom

Entry 2:
Density functional theory data (PBE) for a relaxed structure of Na4Y3TaSi3S3O24.

a = 9.241 Å, b = 9.247 Å, c = 23.545 Å
α = 89.98°, β = 89.96°, γ = 60.11°
Space group P1 (No. 1)
Symmetry-distinct sites (fractional):
Na: 0.000 0.000 0.000
Na: 0.001 0.319 0.074
Na: 0.022 0.014 0.477
Na: 0.044 0.317 0.407
Na: 0.338 0.662 0.407
Na: 0.349 0.705 0.074
Na: 0.355 0.333 0.831
Na: 0.357 0.332 0.334
Na: 0.672 0.667 0.675
Na: 0.687 0.022 0.406
Na: 0.690 0.679 0.154
Na: 0.979 0.713 0.577
Y: 0.014 0.000 0.142
Y: 0.023 0.997 0.341
Y: 0.024 0.005 0.646
Y: 0.360 0.328 0.976
Y: 0.361 0.327 0.475
Y: 0.682 0.664 0.511
Y: 0.691 0.665 0.312
Y: 0.691 0.675 0.015
Y: 0.692 0.665 0.806
Ta: 0.024 0.999 0.835
Ta: 0.359 0.331 0.691
Ta: 0.361 0.329 0.172
Si: 0.027 0.704 0.738
Si: 0.067 0.620 0.077
Si: 0.317 0.002 0.742
Si: 0.358 0.039 0.078
Si: 0.391 0.960 0.409
Si: 0.649 0.337 0.076
Si: 0.693 0.367 0.410
Si: 0.727 0.292 0.743
Si: 0.984 0.669 0.416
S: 0.037 0.305 0.241
S: 0.069 0.339 0.583
S: 0.330 0.680 0.240
S: 0.361 0.615 0.583
S: 0.373 0.683 0.908
S: 0.644 0.040 0.583
S: 0.701 0.012 0.243
S: 0.707 0.965 0.907
S: 0.990 0.349 0.909
O: 0.000 0.836 0.403
O: 0.001 0.181 0.901
O: 0.001 0.798 0.679
O: 0.024 0.215 0.191
O: 0.045 0.193 0.584
O: 0.048 0.802 0.086
O: 0.052 0.211 0.294
O: 0.055 0.812 0.792
O: 0.153 0.333 0.529
O: 0.161 0.325 0.909
O: 0.175 0.510 0.419
O: 0.176 0.339 0.631
O: 0.176 0.496 0.133
O: 0.180 0.541 0.022
O: 0.184 0.034 0.797
O: 0.194 0.317 0.236
O: 0.197 0.015 0.089
O: 0.203 0.838 0.900
O: 0.204 0.779 0.584
O: 0.206 0.981 0.400
O: 0.208 0.518 0.734
O: 0.235 0.756 0.294
O: 0.238 0.784 0.191
O: 0.241 0.973 0.686
O: 0.318 0.157 0.024
O: 0.320 0.183 0.735
O: 0.344 0.510 0.236
O: 0.351 0.534 0.909
O: 0.354 0.535 0.529
O: 0.363 0.149 0.417
O: 0.365 0.508 0.632
O: 0.377 0.144 0.135
O: 0.441 0.703 0.963
O: 0.470 0.841 0.465
O: 0.484 0.668 0.862
O: 0.498 0.660 0.241
O: 0.503 0.858 0.754
O: 0.510 0.633 0.585
O: 0.513 0.882 0.355
O: 0.525 0.857 0.075
O: 0.529 0.347 0.133
O: 0.533 0.169 0.237
O: 0.534 0.337 0.417
O: 0.540 0.144 0.632
O: 0.542 0.295 0.736
O: 0.560 0.136 0.908
O: 0.565 0.122 0.529
O: 0.569 0.305 0.020
O: 0.643 0.517 0.074
O: 0.647 0.491 0.355
O: 0.659 0.872 0.586
O: 0.681 0.864 0.242
O: 0.684 0.479 0.754
O: 0.691 0.876 0.858
O: 0.724 0.873 0.960
O: 0.735 0.445 0.466
O: 0.774 0.028 0.297
O: 0.809 0.001 0.195
O: 0.814 0.018 0.583
O: 0.830 0.161 0.798
O: 0.831 0.214 0.686
O: 0.841 0.189 0.084
O: 0.859 0.184 0.400
O: 0.865 0.977 0.900
O: 0.879 0.704 0.476
O: 0.882 0.663 0.752
O: 0.890 0.475 0.242
O: 0.893 0.615 0.076
O: 0.895 0.460 0.862
O: 0.896 0.627 0.364
O: 0.903 0.419 0.964
O: 0.907 0.498 0.586

## Properties
Spin magnetization ... 0.000 Bohr magnetons per cell
Formation energy ... -2.838 eV per atom